Fe4TeSe3, optimized geometry, DFT PBE-GGA; symmetry = Amm2, No. 38; energy with MP2020 corrections = -50.37 eV for the cell shown; formation energy from the elements = -276 kJ/mol of formula units
1.0
3.626 0.000 0.000
0.000 3.687 6.272
0.000 -3.687 6.272
Te Fe Se
1 4 3
Direct
0.000 0.395 0.895
0.500 0.741 0.241
0.000 0.492 0.506
0.500 0.250 0.750
0.000 0.006 0.992
0.000 0.863 0.363
0.500 0.376 0.377
0.500 0.877 0.876

LiGaH8N4, optimized geometry, DFT PBE-GGA; symmetry = P2_1, No. 4; energy with MP2020 corrections = -145.21 eV for the cell shown; formation energy from the elements = -693 kJ/mol of formula units
1.0
4.006 -3.997 3.397
3.710 4.560 -1.942
-1.558 4.107 6.668
H N Li Ga
16 8 2 2
Direct
0.731 0.380 0.867
0.811 0.618 0.144
0.841 0.860 0.058
0.189 0.382 0.644
0.678 0.234 0.235
0.322 0.766 0.735
0.133 0.777 0.861
0.888 0.706 0.496
0.269 0.620 0.367
0.261 0.873 0.308
0.867 0.223 0.361
0.739 0.127 0.808
0.726 0.782 0.622
0.159 0.140 0.558
0.274 0.218 0.122
0.112 0.294 0.996
0.733 0.699 0.512
0.267 0.301 0.012
0.337 0.749 0.290
0.709 0.169 0.347
0.732 0.738 0.118
0.291 0.831 0.847
0.268 0.262 0.618
0.663 0.251 0.790
0.403 0.647 0.043
0.597 0.353 0.543
0.365 0.153 0.826
0.635 0.847 0.326